Record 1
ScIn3 | the Materials Project database | meta-GGA r2SCAN | optimized geometry; space-group type = Pm-3m
1.0
-2.827 2.179 -2.733
-3.040 0.203 3.306
1.726 3.927 1.346
In Sc
3 1
Direct
0.500 0.000 0.500
0.000 0.500 0.500
0.500 0.500 0.000
0.000 0.000 0.000



Record 2
Sc3In | the Materials Project database | meta-GGA r2SCAN | optimized geometry; relative energy among the computed polymorphs = 18 meV per atom; space-group type = Pm-3m
1.0
4.533 0.000 0.000
0.000 4.529 0.000
0.000 0.000 4.530
Sc In
3 1
Direct
0.000 0.500 0.500
0.500 0.500 0.000
0.500 0.000 0.500
0.000 0.000 0.000



Record 3
Sc2In | the Materials Project database | meta-GGA r2SCAN | optimized geometry; space-group type = P6_3/mmc
1.0
5.043 0.000 0.000
-2.522 4.367 0.000
0.000 0.000 6.302
In Sc
2 4
Direct
0.333 0.667 0.250
0.667 0.333 0.750
0.667 0.333 0.250
0.000 0.000 0.000
0.333 0.667 0.750
0.000 0.000 0.500



Record 4
Sc3In | the Materials Project database | meta-GGA r2SCAN | optimized geometry; relative energy among the computed polymorphs = 0 meV per atom; space-group type = P6_3/mmc
1.0
-4.547 -4.430 -0.860
3.163 0.305 5.563
-3.584 3.318 1.856
Sc In
6 2
Direct
0.169 0.338 0.750
0.831 0.169 0.250
0.662 0.831 0.750
0.338 0.169 0.250
0.831 0.662 0.250
0.169 0.831 0.750
0.333 0.667 0.250
0.667 0.333 0.750



The following calculated formation energy values (in eV/atom) correspond, in order, to the records above: -0.38; -0.36; -0.47; -0.38.
The following M_tot values (in Bohr magnetons per cell) correspond, in order, to the records above: 0.00; 1.94; 1.91; 3.79.